A relaxed structure of Hf2MoPt, computed with GGA-PBE.

Cell and atoms, written as CIF:
```
data_Hf2MoPt
_space_group_name_H-M_alt 'F m -3 m'
_space_group_IT_number 225
_space_group_name_Hall '-F 4 2 3'
_cell_length_a 6.612
_cell_length_b 6.612
_cell_length_c 6.612
_cell_angle_alpha 90.00
_cell_angle_beta 90.00
_cell_angle_gamma 90.00
loop_
_atom_site_label
_atom_site_fract_x
_atom_site_fract_y
_atom_site_fract_z
_atom_site_occupancy
Hf1 0.250 0.250 0.250 1
Mo1 0.000 0.000 0.000 1
Pt1 0.000 0.000 0.500 1
```

***

# K6InTe4Cl | Materials Project | GGA-PBE | optimized geometry
# Spin magnetization = 0.002 μB/f.u.
data_K6InTe4Cl
_space_group_name_H-M_alt 'P 63 m c'
_space_group_IT_number 186
_space_group_name_Hall 'P 6c -2c'
_cell_length_a 11.4904
_cell_length_b 11.4904
_cell_length_c 8.1419
_cell_angle_alpha 90.00
_cell_angle_beta 90.00
_cell_angle_gamma 120.00
loop_
_atom_site_label
_atom_site_fract_x
_atom_site_fract_y
_atom_site_fract_z
_atom_site_occupancy
K1 0.0422 0.5211 0.0000 1
K2 0.1244 0.2487 0.6990 1
In1 0.3333 0.6667 0.3862 1
Te1 0.1985 0.3971 0.2788 1
Te2 0.3333 0.6667 0.7341 1
Cl1 0.0000 0.0000 0.4577 1

***

# Na12B26O45 | Materials Project | GGA-PBE | optimized geometry
# Spin magnetization = 0.000 μB/f.u.
data_Na12B26O45
_space_group_name_H-M_alt 'P 1'
_space_group_IT_number 1
_cell_length_a 9.640
_cell_length_b 10.747
_cell_length_c 18.329
_cell_angle_alpha 73.02
_cell_angle_beta 74.76
_cell_angle_gamma 89.94
loop_
_space_group_symop_operation_xyz
'x,y,z'
loop_
_atom_site_label
_atom_site_fract_x
_atom_site_fract_y
_atom_site_fract_z
_atom_site_occupancy
Na1 0.000 0.000 0.000 1
Na2 0.003 0.400 0.840 1
Na3 0.060 0.873 0.353 1
Na4 0.091 0.986 0.663 1
Na5 0.151 0.102 0.157 1
Na6 0.212 0.721 0.006 1
Na7 0.249 0.748 0.504 1
Na8 0.272 0.374 0.350 1
Na9 0.353 0.486 0.840 1
Na10 0.375 0.603 0.159 1
Na11 0.448 0.078 0.660 1
Na12 0.463 0.222 0.004 1
Na13 0.471 0.476 0.496 1
Na14 0.486 0.990 0.841 1
Na15 0.552 0.012 0.346 1
Na16 0.576 0.579 0.662 1
Na17 0.658 0.974 0.151 1
Na18 0.682 0.503 0.999 1
Na19 0.718 0.978 0.496 1
Na20 0.784 0.512 0.344 1
Na21 0.840 0.902 0.840 1
Na22 0.867 0.475 0.151 1
Na23 0.928 0.491 0.662 1
Na24 0.934 0.250 0.504 1
B1 0.014 0.137 0.362 1
B2 0.028 0.365 0.291 1
B3 0.045 0.145 0.799 1
B4 0.046 0.470 0.980 1
B5 0.046 0.567 0.448 1
B6 0.071 0.609 0.217 1
B7 0.092 0.691 0.704 1
B8 0.104 0.699 0.880 1
B9 0.140 0.838 0.146 1
B10 0.149 0.263 0.986 1
B11 0.173 0.943 0.839 1
B12 0.188 0.068 0.447 1
B13 0.224 0.407 0.060 1
B14 0.225 0.152 0.874 1
B15 0.236 0.329 0.622 1
B16 0.263 0.532 0.663 1
B17 0.274 0.198 0.522 1
B18 0.305 0.637 0.363 1
B19 0.312 0.795 0.765 1
B20 0.328 0.310 0.737 1
B21 0.346 0.776 0.628 1
B22 0.363 0.867 0.292 1
B23 0.384 0.998 0.516 1
B24 0.393 0.110 0.217 1
B25 0.395 0.338 0.146 1
B26 0.397 0.906 0.060 1
B27 0.533 0.214 0.442 1
B28 0.534 0.733 0.357 1
B29 0.537 0.575 0.286 1
B30 0.546 0.764 0.985 1
B31 0.567 0.405 0.212 1
B32 0.582 0.653 0.874 1
B33 0.604 0.296 0.764 1
B34 0.618 0.809 0.738 1
B35 0.625 0.248 0.140 1
B36 0.655 0.971 0.980 1
B37 0.670 0.445 0.838 1
B38 0.696 0.201 0.880 1
B39 0.706 0.714 0.442 1
B40 0.708 0.276 0.628 1
B41 0.742 0.765 0.053 1
B42 0.757 0.031 0.664 1
B43 0.783 0.497 0.516 1
B44 0.790 0.233 0.357 1
B45 0.825 0.829 0.622 1
B46 0.838 0.645 0.799 1
B47 0.858 0.074 0.286 1
B48 0.884 0.699 0.522 1
B49 0.885 0.264 0.055 1
B50 0.886 0.192 0.704 1
B51 0.901 0.905 0.211 1
B52 0.916 0.748 0.139 1
O1 0.003 0.193 0.039 1
O2 0.013 0.593 0.929 1
O3 0.029 0.678 0.472 1
O4 0.045 0.896 0.206 1
O5 0.058 0.817 0.092 1
O6 0.073 0.021 0.795 1
O7 0.085 0.819 0.892 1
O8 0.089 0.198 0.849 1
O9 0.096 0.043 0.407 1
O10 0.100 0.264 0.323 1
O11 0.105 0.488 0.258 1
O12 0.118 0.564 0.708 1
O13 0.127 0.390 0.934 1
O14 0.132 0.499 0.033 1
O15 0.178 0.708 0.190 1
O16 0.179 0.178 0.473 1
O17 0.180 0.543 0.407 1
O18 0.185 0.794 0.653 1
O19 0.193 0.272 0.573 1
O20 0.222 0.685 0.820 1
O21 0.226 0.010 0.886 1
O22 0.229 0.461 0.609 1
O23 0.230 0.178 0.947 1
O24 0.231 0.290 0.041 1
O25 0.259 0.766 0.324 1
O26 0.269 0.930 0.106 1
O27 0.292 0.982 0.462 1
O28 0.293 0.255 0.682 1
O29 0.294 0.915 0.778 1
O30 0.306 0.431 0.106 1
O31 0.309 0.073 0.568 1
O32 0.314 0.209 0.189 1
O33 0.319 0.988 0.258 1
O34 0.325 0.443 0.724 1
O35 0.348 0.230 0.807 1
O36 0.360 0.645 0.616 1
O37 0.391 0.580 0.299 1
O38 0.398 0.659 0.411 1
O39 0.401 0.784 0.696 1
O40 0.409 0.790 0.041 1
O41 0.413 0.280 0.467 1
O42 0.423 0.874 0.556 1
O43 0.428 0.395 0.207 1
O44 0.502 0.852 0.296 1
O45 0.504 0.679 0.946 1
O46 0.516 0.998 0.034 1
O47 0.522 0.079 0.462 1
O48 0.528 0.729 0.806 1
O49 0.531 0.318 0.092 1
O50 0.540 0.128 0.203 1
O51 0.570 0.510 0.886 1
O52 0.584 0.285 0.695 1
O53 0.609 0.417 0.777 1
O54 0.610 0.492 0.247 1
O55 0.616 0.646 0.314 1
O56 0.619 0.892 0.933 1
O57 0.621 0.784 0.398 1
O58 0.634 0.942 0.724 1
O59 0.638 0.187 0.820 1
O60 0.640 0.694 0.038 1
O61 0.661 0.285 0.397 1
O62 0.671 0.336 0.180 1
O63 0.700 0.579 0.461 1
O64 0.703 0.373 0.556 1
O65 0.705 0.321 0.891 1
O66 0.707 0.145 0.616 1
O67 0.709 0.753 0.683 1
O68 0.736 0.095 0.930 1
O69 0.744 0.698 0.849 1
O70 0.750 0.901 0.029 1
O71 0.751 0.146 0.314 1
O72 0.751 0.200 0.094 1
O73 0.802 0.780 0.466 1
O74 0.803 0.573 0.568 1
O75 0.813 0.523 0.794 1
O76 0.823 0.992 0.246 1
O77 0.829 0.836 0.179 1
O78 0.836 0.700 0.094 1
O79 0.842 0.296 0.654 1
O80 0.844 0.960 0.611 1
O81 0.857 0.065 0.708 1
O82 0.874 0.160 0.410 1
O83 0.884 0.350 0.295 1
O84 0.903 0.400 0.031 1
O85 0.915 0.773 0.572 1
O86 0.929 0.480 0.463 1
O87 0.938 0.627 0.203 1
O88 0.966 0.223 0.752 1
O89 0.966 0.722 0.752 1
O90 0.991 0.079 0.300 1

***

# Al10Si2O19 | Materials Project | GGA-PBE | optimized geometry
# Spin magnetization = 0.000 μB/f.u.
# Excess energy over the best structure of this formula in the dataset = 12 meV per atom
data_Al10Si2O19
_space_group_name_H-M_alt 'P 1 m 1'
_space_group_IT_number 6
_cell_length_a 7.485
_cell_length_b 2.950
_cell_length_c 16.050
_cell_angle_alpha 90.00
_cell_angle_beta 90.19
_cell_angle_gamma 90.00
loop_
_space_group_symop_operation_xyz
'x,y,z'
'x,-y,z'
loop_
_atom_site_label
_atom_site_fract_x
_atom_site_fract_y
_atom_site_fract_z
_atom_site_occupancy
Al1 0.000 0.000 0.000 1
Al2 0.022 0.000 0.239 1
Al3 0.092 0.000 0.550 1
Al4 0.239 0.500 0.391 1
Al5 0.264 0.500 0.884 1
Al6 0.507 0.000 0.528 1
Al7 0.602 0.000 0.975 1
Al8 0.734 0.500 0.135 1
Al9 0.772 0.500 0.653 1
Al10 0.901 0.000 0.818 1
Si1 0.399 0.000 0.703 1
Si2 0.408 0.000 0.233 1
O1 0.096 0.500 0.493 1
O2 0.124 0.000 0.341 1
O3 0.125 0.500 0.982 1
O4 0.131 0.000 0.840 1
O5 0.225 0.000 0.180 1
O6 0.310 0.000 0.608 1
O7 0.350 0.500 0.748 1
O8 0.377 0.000 0.439 1
O9 0.416 0.500 0.289 1
O10 0.421 0.000 0.903 1
O11 0.593 0.000 0.179 1
O12 0.593 0.500 0.034 1
O13 0.611 0.000 0.687 1
O14 0.627 0.500 0.550 1
O15 0.815 0.000 0.922 1
O16 0.850 0.500 0.764 1
O17 0.868 0.000 0.090 1
O18 0.894 0.500 0.227 1
O19 0.913 0.000 0.621 1

***

# Tc3Pt | Materials Project | GGA-PBE | optimized geometry
# Spin magnetization = 0.025 μB/f.u.
# Excess energy over the best structure of this formula in the dataset = 195 meV per atom
data_Tc3Pt
_space_group_name_H-M_alt 'P -6 m 2'
_space_group_IT_number 187
_space_group_name_Hall 'P -6 2'
_cell_length_a 2.7623
_cell_length_b 2.7623
_cell_length_c 8.9557
_cell_angle_alpha 90.00
_cell_angle_beta 90.00
_cell_angle_gamma 120.00
loop_
_atom_site_label
_atom_site_fract_x
_atom_site_fract_y
_atom_site_fract_z
_atom_site_occupancy
Tc1 0.0000 0.0000 0.0000 1
Tc2 0.3333 0.6667 0.2443 1
Pt1 0.0000 0.0000 0.5000 1

***

# SiC | Materials Project | GGA-PBE | optimized geometry
# Spin magnetization = 0.000 μB/f.u.
# Excess energy over the best structure of this formula in the dataset = 32 meV per atom
data_SiC
_space_group_name_H-M_alt 'R 3 m'
_space_group_IT_number 160
_space_group_name_Hall 'R 3 -2"'
_cell_length_a 3.0979
_cell_length_b 3.0979
_cell_length_c 212.1931
_cell_angle_alpha 90.00
_cell_angle_beta 90.00
_cell_angle_gamma 120.00
loop_
_atom_site_label
_atom_site_fract_x
_atom_site_fract_y
_atom_site_fract_z
_atom_site_occupancy
Si1 0.0000 0.0000 0.0000 1
Si2 0.0000 0.0000 0.0238 1
Si3 0.0000 0.0000 0.0475 1
Si4 0.0000 0.0000 0.0952 1
Si5 0.0000 0.0000 0.1191 1
Si6 0.0000 0.0000 0.1667 1
Si7 0.0000 0.0000 0.1905 1
Si8 0.0000 0.0000 0.2382 1
Si9 0.0000 0.0000 0.2620 1
Si10 0.0000 0.0000 0.3096 1
Si11 0.0000 0.0000 0.3452 1
Si12 0.0000 0.0000 0.3927 1
Si13 0.0000 0.0000 0.4166 1
Si14 0.0000 0.0000 0.4643 1
Si15 0.0000 0.0000 0.4881 1
Si16 0.0000 0.0000 0.5357 1
Si17 0.0000 0.0000 0.5596 1
Si18 0.0000 0.0000 0.6072 1
Si19 0.0000 0.0000 0.6310 1
Si20 0.0000 0.0000 0.6548 1
Si21 0.0000 0.0000 0.7023 1
Si22 0.0000 0.0000 0.7380 1
Si23 0.0000 0.0000 0.7738 1
Si24 0.0000 0.0000 0.8096 1
Si25 0.0000 0.0000 0.8452 1
Si26 0.0000 0.0000 0.8810 1
Si27 0.0000 0.0000 0.9167 1
Si28 0.0000 0.0000 0.9525 1
C1 0.0000 0.0000 0.0089 1
C2 0.0000 0.0000 0.0327 1
C3 0.0000 0.0000 0.0564 1
C4 0.0000 0.0000 0.1041 1
C5 0.0000 0.0000 0.1280 1
C6 0.0000 0.0000 0.1756 1
C7 0.0000 0.0000 0.1994 1
C8 0.0000 0.0000 0.2471 1
C9 0.0000 0.0000 0.2709 1
C10 0.0000 0.0000 0.3185 1
C11 0.0000 0.0000 0.3542 1
C12 0.0000 0.0000 0.4017 1
C13 0.0000 0.0000 0.4256 1
C14 0.0000 0.0000 0.4733 1
C15 0.0000 0.0000 0.4971 1
C16 0.0000 0.0000 0.5447 1
C17 0.0000 0.0000 0.5685 1
C18 0.0000 0.0000 0.6162 1
C19 0.0000 0.0000 0.6400 1
C20 0.0000 0.0000 0.6637 1
C21 0.0000 0.0000 0.7112 1
C22 0.0000 0.0000 0.7470 1
C23 0.0000 0.0000 0.7828 1
C24 0.0000 0.0000 0.8186 1
C25 0.0000 0.0000 0.8542 1
C26 0.0000 0.0000 0.8900 1
C27 0.0000 0.0000 0.9257 1
C28 0.0000 0.0000 0.9614 1

***

# CrFeSi2 | Materials Project | GGA-PBE | optimized geometry
# Spin magnetization = 1.336 μB/f.u.
data_CrFeSi2
_space_group_name_H-M_alt 'P 1 21 1'
_space_group_IT_number 4
_cell_length_a 4.533
_cell_length_b 4.500
_cell_length_c 4.542
_cell_angle_alpha 90.00
_cell_angle_beta 90.88
_cell_angle_gamma 90.00
loop_
_space_group_symop_operation_xyz
'x,y,z'
'-x,y+1/2,-z'
loop_
_atom_site_label
_atom_site_fract_x
_atom_site_fract_y
_atom_site_fract_z
_atom_site_occupancy
Cr1 0.130 0.000 0.106 1
Fe1 0.359 0.725 0.614 1
Si1 0.164 0.208 0.591 1
Si2 0.355 0.517 0.098 1

***

# NaEuGe4O12 | Materials Project | GGA-PBE | optimized geometry
# Spin magnetization = 1.989 μB/f.u.
data_NaEuGe4O12
_space_group_name_H-M_alt 'A m m 2'
_space_group_IT_number 38
_cell_length_a 7.704
_cell_length_b 7.252
_cell_length_c 7.536
_cell_angle_alpha 90.00
_cell_angle_beta 90.00
_cell_angle_gamma 90.00
loop_
_space_group_symop_operation_xyz
'x,y,z'
'-x,-y,z'
'-x,y,z'
'x,-y,z'
'x,y+1/2,z+1/2'
'-x,-y+1/2,z+1/2'
'-x,y+1/2,z+1/2'
'x,-y+1/2,z+1/2'
loop_
_atom_site_label
_atom_site_fract_x
_atom_site_fract_y
_atom_site_fract_z
_atom_site_occupancy
Na1 0.000 0.000 0.000 1
Eu1 0.500 0.000 0.534 1
Ge1 0.237 0.248 0.265 1
O1 0.000 0.203 0.768 1
O2 0.206 0.000 0.215 1
O3 0.256 0.200 0.514 1
O4 0.302 0.000 0.802 1
O5 0.500 0.202 0.262 1

***

no.,formation energy (meV per atom)
1,-634
2,-1166
3,-2746
4,-3332
5,-69
6,-172
7,-347
8,-1746